1.
First-principles (GGA-PBE) data for Na2Nb2In6Si3S9O48 after structural relaxation, as listed in the Materials Project.

Calculated values
ΔH_f (0 K)	-2.19	eV per atom
calculated volume	15.29	A^3/atom

Lattice parameters (Å, degrees): 8.9054 15.4410 23.3474 89.82 90.00 89.77
Closest atoms and distances in Å follow each position.
Fractional positions:
Na  0.0000  0.0000  0.0000  3 O 2.39-2.55
Na  0.0051  0.3398  0.1629  4 O 2.37-2.65
Na  0.0114  0.9926  0.4990  4 O 2.40-2.67
Na  0.5195  0.4957  0.0060  3 O 2.33-2.57
Na  0.5285  0.8362  0.6602  2 O 2.31-2.57
Na  0.5358  0.5029  0.4944  3 O 2.35-2.58
Nb  0.0033  0.3455  0.5175  3 O 1.83-2.01
Nb  0.0093  0.6655  0.6803  5 O 1.87-2.09
Nb  0.0246  0.3409  0.8084  5 O 1.84-2.04
Nb  0.5069  0.8356  0.3051  3 O 1.82-2.01
Nb  0.5253  0.1664  0.1821  5 O 1.90-2.13
Nb  0.5311  0.8447  0.0205  3 O 1.85-2.03
In  0.0021  0.3337  0.0210  6 O 2.04-2.26
In  0.0031  0.6762  0.4777  5 O 2.02-2.26
In  0.0095  0.9952  0.8519  6 O 2.04-2.26
In  0.0145  0.3395  0.3150  5 O 1.99-2.19
In  0.0168  0.0008  0.6461  6 O 2.02-2.24
In  0.0165  0.6711  0.9748  5 O 1.98-2.17
In  0.0207  0.9997  0.1476  4 O 2.00-2.21
In  0.0230  0.0079  0.3472  4 O 2.00-2.19
In  0.0267  0.6718  0.1844  5 O 2.01-2.22
In  0.5111  0.5108  0.8474  4 O 1.99-2.22
In  0.5138  0.5002  0.6462  5 O 2.02-2.24
In  0.5169  0.5039  0.1486  4 O 2.01-2.20
In  0.5179  0.1737  0.6809  6 O 2.14-2.22
In  0.5215  0.1695  0.4731  5 O 1.97-2.19
In  0.5210  0.8377  0.8164  4 O 1.98-2.19
In  0.5220  0.4990  0.3489  3 O 2.00-2.21
In  0.5314  0.1759  0.9808  4 O 2.03-2.25
In  0.5314  0.8356  0.5184  6 O 2.06-2.27
Si  0.2316  0.5084  0.7469  4 O 1.60-1.72
Si  0.3037  0.0083  0.2473  4 O 1.60-1.69
Si  0.3710  0.6428  0.2484  4 O 1.61-1.73
Si  0.6578  0.3220  0.0807  4 O 1.62-1.67
Si  0.6764  0.0279  0.0789  4 O 1.60-1.70
Si  0.7199  0.3399  0.4120  4 O 1.59-1.74
Si  0.8124  0.8377  0.9136  4 O 1.59-1.71
Si  0.8604  0.5269  0.5779  4 O 1.58-1.69
Si  0.8726  0.8205  0.5796  4 O 1.60-1.69
S  0.1567  0.1911  0.4168  4 O 1.47-1.50
S  0.1615  0.5252  0.0777  4 O 1.47-1.49
S  0.1625  0.1489  0.7491  4 O 1.47-1.53
S  0.1637  0.4854  0.4170  4 O 1.46-1.54
S  0.1679  0.8176  0.0774  4 O 1.46-1.51
S  0.1717  0.8554  0.7468  4 O 1.47-1.50
S  0.2286  0.1710  0.0804  4 O 1.48-1.50
S  0.2317  0.8379  0.4152  4 O 1.47-1.50
S  0.3038  0.3375  0.9150  4 O 1.46-1.54
S  0.3053  0.6719  0.5801  4 O 1.46-1.51
S  0.3634  0.3522  0.2467  4 O 1.47-1.50
S  0.3674  0.3151  0.5784  4 O 1.46-1.50
S  0.3721  0.0266  0.5802  4 O 1.47-1.49
S  0.3717  0.9863  0.9163  4 O 1.46-1.51
S  0.3775  0.6907  0.9169  4 O 1.46-1.51
S  0.6603  0.6939  0.4123  4 O 1.47-1.49
S  0.6649  0.6541  0.7459  4 O 1.47-1.50
S  0.6671  0.3548  0.7499  4 O 1.46-1.53
S  0.6686  0.9807  0.4124  4 O 1.47-1.50
S  0.7177  0.0060  0.7462  4 O 1.48-1.49
S  0.7262  0.6712  0.0792  4 O 1.46-1.53
S  0.8137  0.1719  0.5797  4 O 1.46-1.50
S  0.8195  0.5023  0.2457  4 O 1.47-1.51
S  0.8664  0.8565  0.2496  4 O 1.46-1.51
S  0.8682  0.4800  0.9118  4 O 1.46-1.52
S  0.8707  0.1541  0.2462  4 O 1.47-1.51
S  0.8769  0.1939  0.9114  4 O 1.46-1.51
O  0.0752  0.1064  0.4164  1 S 1.50
O  0.0873  0.1161  0.6972  1 S 1.48
O  0.0929  0.5643  0.1288  1 S 1.47
O  0.0937  0.2381  0.7607  1 S 1.53
O  0.0939  0.5704  0.4248  1 S 1.46
O  0.0946  0.2407  0.4668  1 S 1.50
O  0.0962  0.4365  0.0734  1 S 1.49
O  0.0983  0.7765  0.0271  1 S 1.47
O  0.1027  0.7705  0.7359  1 S 1.47
O  0.1030  0.8928  0.7990  1 S 1.48
O  0.1059  0.4470  0.3641  1 S 1.47
O  0.1066  0.9064  0.0808  1 S 1.48
O  0.1153  0.4232  0.7631  1 Si 1.72, 1 Nb 1.84
O  0.1193  0.5897  0.7318  1 Si 1.64
O  0.1229  0.4266  0.4680  1 S 1.54
O  0.1272  0.0962  0.0861  1 S 1.48
O  0.1279  0.5751  0.0245  1 S 1.49
O  0.1309  0.9146  0.4102  1 S 1.49
O  0.1361  0.2388  0.3628  1 S 1.47
O  0.1375  0.0932  0.7995  1 S 1.47
O  0.1404  0.2537  0.0793  1 S 1.50
O  0.1461  0.7682  0.1303  1 S 1.46
O  0.1475  0.7565  0.4173  1 S 1.47
O  0.1542  0.9143  0.6966  1 S 1.49
O  0.1961  0.6664  0.2412  1 Si 1.61
O  0.1974  0.3400  0.2536  1 S 1.50
O  0.2015  0.3331  0.8617  1 S 1.54
O  0.2027  0.3220  0.5691  1 S 1.49
O  0.2048  0.9923  0.9140  1 S 1.49
O  0.2059  0.0233  0.5858  1 S 1.49
O  0.2062  0.6784  0.6323  1 S 1.51
O  0.2074  0.3514  0.9653  1 S 1.47
O  0.2113  0.9805  0.1915  1 Si 1.60
O  0.2140  0.0305  0.3051  1 Si 1.61
O  0.2164  0.6755  0.9236  1 S 1.46
O  0.2187  0.6609  0.5277  1 S 1.46
O  0.3139  0.1596  0.0267  1 S 1.48
O  0.3183  0.1764  0.4244  1 S 1.47
O  0.3176  0.5268  0.8058  1 Si 1.60
O  0.3242  0.1635  0.7407  1 S 1.47
O  0.3258  0.4781  0.6922  1 Si 1.60
O  0.3263  0.5195  0.0816  1 S 1.47
O  0.3258  0.8517  0.4670  1 S 1.49
O  0.3277  0.1778  0.1314  1 S 1.49
O  0.3285  0.4880  0.4182  1 S 1.47
O  0.3310  0.8339  0.3632  1 S 1.50
O  0.3344  0.8238  0.0673  1 S 1.51
O  0.3375  0.8441  0.7538  1 S 1.50
O  0.3812  0.4085  0.1959  1 S 1.48
O  0.3871  0.2557  0.9155  1 S 1.46
O  0.3879  0.2662  0.6335  1 S 1.50
O  0.3929  0.7541  0.5798  1 S 1.49
O  0.3968  0.7377  0.8619  1 S 1.48
O  0.3984  0.5854  0.3053  1 Si 1.61
O  0.4022  0.4139  0.9081  1 S 1.48
O  0.4045  0.0781  0.5286  1 S 1.47
O  0.4064  0.5964  0.5865  1 S 1.48
O  0.4056  0.9273  0.9665  1 S 1.51
O  0.4146  0.0902  0.2314  1 Si 1.65
O  0.4179  0.9243  0.2631  1 Si 1.69, 1 Nb 1.86
O  0.4303  0.2652  0.2353  1 S 1.49
O  0.4301  0.9483  0.8626  1 S 1.48
O  0.4331  0.3862  0.2988  1 S 1.47
O  0.4329  0.4027  0.5825  1 S 1.48
O  0.4349  0.9378  0.5758  1 S 1.48
O  0.4393  0.0642  0.6332  1 S 1.49
O  0.4393  0.7399  0.9660  1 S 1.48
O  0.4399  0.0714  0.9241  1 S 1.46
O  0.4404  0.2711  0.5306  1 S 1.46
O  0.4474  0.7429  0.2632  1 Si 1.73, 1 Nb 1.82
O  0.4560  0.6117  0.1908  1 Si 1.62
O  0.4601  0.6054  0.9160  1 S 1.51
O  0.5854  0.9320  0.0706  1 Si 1.70, 1 Nb 1.85
O  0.5864  0.4183  0.0878  1 Si 1.62
O  0.5905  0.2875  0.0202  1 Si 1.63
O  0.5925  0.0652  0.4167  1 S 1.47
O  0.5936  0.6076  0.4076  1 S 1.47
O  0.5963  0.7415  0.7500  1 S 1.48
O  0.5970  0.7303  0.4664  1 S 1.49
O  0.5982  0.3947  0.8007  1 S 1.47
O  0.5985  0.0745  0.1357  1 Si 1.66
O  0.5991  0.6116  0.6958  1 S 1.47
O  0.6047  0.2674  0.7418  1 S 1.48
O  0.6073  0.9350  0.3623  1 S 1.47
O  0.6102  0.2566  0.1350  1 Si 1.67
O  0.6170  0.7502  0.3629  1 S 1.49
O  0.6183  0.9289  0.7505  1 S 1.49
O  0.6235  0.0850  0.7394  1 S 1.49
O  0.6234  0.4292  0.4129  1 Si 1.62
O  0.6246  0.2551  0.4247  1 Si 1.59
O  0.6254  0.5969  0.0832  1 S 1.46
O  0.6284  0.7513  0.0694  1 S 1.53
O  0.6468  0.0782  0.0201  1 Si 1.60
O  0.6471  0.6034  0.7993  1 S 1.48
O  0.6496  0.9303  0.4664  1 S 1.49
O  0.6587  0.4086  0.6984  1 S 1.46
O  0.6854  0.5078  0.5885  1 Si 1.61
O  0.6882  0.8231  0.5827  1 Si 1.64
O  0.6914  0.8490  0.9702  1 Si 1.71, 1 Nb 1.85
O  0.7002  0.8479  0.2615  1 S 1.51
O  0.7033  0.1642  0.2380  1 S 1.51
O  0.7035  0.4896  0.9036  1 S 1.49
O  0.7128  0.1897  0.9125  1 S 1.46
O  0.7173  0.1541  0.5306  1 S 1.46
O  0.7177  0.8267  0.8557  1 Si 1.60
O  0.7267  0.1900  0.6328  1 S 1.49
O  0.7269  0.4845  0.1945  1 S 1.48
O  0.7316  0.5101  0.2987  1 S 1.47
O  0.8103  0.0180  0.7981  1 S 1.48
O  0.8122  0.9925  0.6946  1 S 1.48
O  0.8151  0.6880  0.1309  1 S 1.47
O  0.8205  0.6576  0.0280  1 S 1.47
O  0.8216  0.3251  0.3567  1 Si 1.59
O  0.8256  0.6911  0.4126  1 S 1.47
O  0.8314  0.6640  0.7375  1 S 1.50
O  0.8343  0.3424  0.7620  1 S 1.53
O  0.8350  0.9927  0.4065  1 S 1.50
O  0.8397  0.3520  0.4702  1 Si 1.74, 1 Nb 1.83
O  0.8428  0.3227  0.0834  1 Si 1.65
O  0.8513  0.0078  0.0884  1 Si 1.60
O  0.8770  0.9115  0.1983  1 S 1.47
O  0.8895  0.1034  0.2992  1 S 1.47
O  0.8902  0.4269  0.9634  1 S 1.47
O  0.8925  0.5801  0.5212  1 Si 1.58
O  0.9061  0.5828  0.2385  1 S 1.48
O  0.9082  0.2504  0.5692  1 S 1.50
O  0.9075  0.9282  0.9164  1 Si 1.64
O  0.9105  0.7526  0.9232  1 Si 1.59
O  0.9174  0.0978  0.5869  1 S 1.48
O  0.9188  0.2499  0.8609  1 S 1.51
O  0.9206  0.7568  0.6358  1 Si 1.69
O  0.9253  0.7693  0.2408  1 S 1.46
O  0.9266  0.4267  0.2491  1 S 1.51
O  0.9308  0.4325  0.8600  1 S 1.52
O  0.9353  0.1119  0.1955  1 S 1.47
O  0.9377  0.2413  0.2501  1 S 1.48
O  0.9375  0.5737  0.6358  1 Si 1.68, 1 Nb 1.87
O  0.9379  0.8954  0.3004  1 S 1.48
O  0.9416  0.2304  0.9642  1 S 1.48
O  0.9427  0.7840  0.5212  1 Si 1.60
O  0.9453  0.5630  0.9144  1 S 1.46
O  0.9453  0.9172  0.5856  1 Si 1.64
O  0.9498  0.1085  0.9042  1 S 1.48
O  0.9509  0.4312  0.5704  1 Si 1.69, 1 Nb 1.87



2.
First-principles (GGA-PBE) data for Na2NbInSi2SO12 after structural relaxation, as listed in the Materials Project.

Calculated values
ΔH_f (0 K)	-2.54	eV per atom
calculated volume	14.26	A^3/atom

Lattice parameters (Å, degrees): 9.0324 9.0324 22.9247 89.97 90.03 119.63
Closest atoms and distances in Å follow each position.
Fractional positions:
O  0.1923  0.2033  0.4094  1 S 1.45
O  0.8127  0.0164  0.8073  1 Si 1.58
O  0.1828  0.0306  0.5916  1 Si 1.66
O  0.8120  0.8377  0.1950  1 Si 1.70
O  0.4957  0.8546  0.3616  1 Si 1.70
O  0.8453  0.4940  0.4241  1 Si 1.70
O  0.4993  0.3718  0.4204  1 S 1.53
O  0.4687  0.3062  0.0242  1 Si 1.69
O  0.6824  0.5197  0.2465  1 Si 1.61
O  0.1687  0.9857  0.9113  1 Si 1.62
O  0.3169  0.8540  0.9740  1 Si 1.58
O  0.5021  0.6523  0.5779  1 Si 1.62
O  0.3622  0.4880  0.3644  1 S 1.50
O  0.9694  0.8172  0.0916  1 Si 1.66
O  0.3027  0.4839  0.7583  1 Si 1.66
O  0.8495  0.3640  0.9249  1 Si 1.66
O  0.8021  0.9729  0.6908  1 Si 1.69
O  0.1354  0.6396  0.3575  1 Si 1.69
O  0.3477  0.4979  0.0779  1 Si 1.62
O  0.8136  0.9842  0.4132  1 Si 1.61
O  0.2180  0.0256  0.3032  1 S 1.46
O  0.8290  0.5213  0.0283  1 Si 1.70
O  0.1460  0.6831  0.4740  1 Si 1.58
O  0.8453  0.3045  0.5311  1 S 1.50
O  0.4793  0.3497  0.1406  1 Si 1.58
O  0.8885  0.5125  0.1421  1 Si 1.61
O  0.6282  0.5007  0.9204  1 S 1.53
O  0.0158  0.1864  0.9132  1 Si 1.61
O  0.1659  0.7051  0.7538  1 S 1.53
O  0.1786  0.1607  0.0908  1 Si 1.70
O  0.4803  0.3176  0.7465  1 Si 1.61
O  0.9616  0.1674  0.5871  1 S 1.53
O  0.3077  0.4487  0.4699  1 S 1.46
O  0.2949  0.8341  0.2538  1 S 1.53
O  0.0143  0.8313  0.4113  1 Si 1.62
O  0.3604  0.8646  0.8575  1 Si 1.69
O  0.4633  0.1410  0.2427  1 S 1.45
O  0.0289  0.8213  0.6978  1 S 1.50
O  0.7967  0.8077  0.9094  1 S 1.45
O  0.9836  0.1873  0.3073  1 Si 1.58
O  0.5120  0.6378  0.8644  1 S 1.50
O  0.3491  0.8531  0.5799  1 Si 1.61
O  0.4787  0.1710  0.5283  1 Si 1.70
O  0.6503  0.5207  0.6406  1 Si 1.58
O  0.6360  0.1505  0.4249  1 Si 1.66
O  0.4875  0.1115  0.6421  1 Si 1.61
O  0.1542  0.4448  0.9755  1 Si 1.61
O  0.5161  0.6973  0.2583  1 Si 1.66
O  0.5552  0.8458  0.4755  1 Si 1.61
O  0.1726  0.4880  0.2574  1 Si 1.70
O  0.6810  0.1646  0.7446  1 Si 1.62
O  0.6410  0.1153  0.1366  1 S 1.46
O  0.8590  0.5367  0.7427  1 S 1.45
O  0.6955  0.1547  0.0311  1 S 1.50
O  0.8393  0.8214  0.5908  1 Si 1.70
O  0.0271  0.1979  0.1908  1 Si 1.69
O  0.1787  0.9711  0.1978  1 S 1.50
O  0.1623  0.1880  0.6950  1 Si 1.70
O  0.9744  0.7820  0.8032  1 S 1.46
O  0.2218  0.1791  0.8088  1 Si 1.61
O  0.8326  0.0384  0.0871  1 S 1.53
O  0.8209  0.7782  0.3088  1 Si 1.61
O  0.8354  0.3190  0.2446  1 Si 1.62
O  0.8847  0.3590  0.6366  1 S 1.46
O  0.1469  0.6509  0.0799  1 Si 1.61
O  0.5060  0.1547  0.9241  1 Si 1.70
O  0.6938  0.5313  0.5242  1 Si 1.69
O  0.1300  0.4743  0.5760  1 S 1.45
O  0.5513  0.6923  0.9699  1 S 1.46
O  0.1454  0.5043  0.8616  1 Si 1.70
O  0.5120  0.8274  0.7574  1 Si 1.70
O  0.5257  0.8700  0.0760  1 S 1.45
Na  0.9831  0.6228  0.2494  5 O 2.39-2.63
Na  0.0067  0.9912  0.4956  5 O 2.44-2.69
Na  0.0088  0.9933  0.9956  5 O 2.44-2.69
Na  0.6497  0.9561  0.5827  5 O 2.39-2.63
Na  0.6754  0.3267  0.3289  5 O 2.44-2.69
Na  0.3400  0.6579  0.1622  5 O 2.44-2.69
Na  0.3421  0.6600  0.6622  5 O 2.44-2.69
Na  0.6733  0.3246  0.8289  5 O 2.44-2.69
Na  0.3772  0.0169  0.7494  5 O 2.39-2.63
Na  0.3164  0.2894  0.9161  5 O 2.39-2.63
Na  0.0439  0.3503  0.0827  5 O 2.39-2.63
Na  0.7106  0.6836  0.4161  5 O 2.39-2.63
In  0.3359  0.6780  0.5179  5 O 2.01-2.25
In  0.6554  0.3308  0.6845  5 O 2.01-2.25
In  0.6692  0.3446  0.1845  5 O 2.01-2.25
In  0.9887  0.9975  0.3512  5 O 2.01-2.25
In  0.3220  0.6641  0.0179  5 O 2.01-2.25
In  0.0025  0.0113  0.8512  5 O 2.01-2.25
Nb  0.6637  0.3340  0.4792  6 O 1.95-2.15
Nb  0.6660  0.3363  0.9792  6 O 1.95-2.15
Nb  0.9993  0.0030  0.6458  6 O 1.95-2.15
Nb  0.3303  0.6674  0.8125  6 O 1.95-2.15
Nb  0.9970  0.0007  0.1458  6 O 1.95-2.15
Nb  0.3326  0.6696  0.3125  6 O 1.95-2.15
Si  0.6654  0.6251  0.5836  4 O 1.58-1.70
Si  0.6260  0.9625  0.4182  4 O 1.61-1.70
Si  0.9987  0.2918  0.2502  4 O 1.58-1.70
Si  0.2927  0.2958  0.7515  4 O 1.61-1.70
Si  0.3749  0.3346  0.0836  4 O 1.58-1.70
Si  0.3708  0.0407  0.5848  4 O 1.61-1.70
Si  0.7042  0.7073  0.2515  4 O 1.61-1.70
Si  0.9593  0.6292  0.0848  4 O 1.61-1.70
Si  0.7082  0.0013  0.7502  4 O 1.58-1.70
Si  0.3320  0.9584  0.9169  4 O 1.58-1.70
Si  0.0375  0.3740  0.9182  4 O 1.61-1.70
Si  0.0416  0.6680  0.4169  4 O 1.58-1.70
S  0.9993  0.7091  0.7500  4 O 1.45-1.53
S  0.3326  0.3758  0.4167  4 O 1.45-1.53
S  0.9576  0.3341  0.5834  4 O 1.45-1.53
S  0.6242  0.6674  0.9167  4 O 1.45-1.53
S  0.2909  0.0007  0.2500  4 O 1.45-1.53
S  0.6659  0.0424  0.0834  4 O 1.45-1.53



Let's list total energy after the MP2020 corrections in order: -6.907, -7.267 eV per atom.